a | Here is MgV2Bi2Pb2O10 after structural relaxation from the Materials Project. Energies are from PBE+U.

Cell lengths 6.004, 7.067, 7.739 Å; angles 76.33, 89.86, 65.11 degrees
Element x y z (fractional)
Mg1 0.000 0.000 0.000
V1 0.545 0.907 0.985
V2 0.870 0.256 0.238
Bi1 0.204 0.585 0.368
Bi2 0.215 0.563 0.834
Pb1 0.534 0.924 0.466
Pb2 0.834 0.322 0.634
O1 0.018 0.956 0.266
O2 0.090 0.292 0.379
O3 0.309 0.836 0.906
O4 0.405 0.195 0.895
O5 0.425 0.604 0.592
O6 0.603 0.787 0.225
O7 0.612 0.294 0.377
O8 0.845 0.319 0.001
O9 0.853 0.835 0.907
O10 0.966 0.603 0.593

## Properties
SG: P1

b | Here is MgV2Bi2Pb2O10 after structural relaxation from the Materials Project. Energies are from PBE+U.

Cell lengths 7.628, 7.628, 7.233 Å; angles 107.29, 107.29, 47.26 degrees
Element x y z (fractional)
Mg1 0.000 0.000 0.000
V1 0.357 0.022 0.159
V2 0.978 0.643 0.841
Bi1 0.495 0.463 0.247
Bi2 0.537 0.505 0.753
Pb1 0.156 0.126 0.561
Pb2 0.874 0.844 0.439
O1 0.050 0.192 0.224
O2 0.099 0.718 0.095
O3 0.208 0.461 0.693
O4 0.282 0.901 0.905
O5 0.309 0.691 0.500
O6 0.458 0.183 0.185
O7 0.539 0.792 0.307
O8 0.763 0.237 0.500
O9 0.808 0.950 0.776
O10 0.817 0.542 0.815

## Properties
SG: C2

Of them, a has the highest stability.

a | Here is MgVBiO5 after structural relaxation from the Materials Project. Energies are from PBE+U.

Cell lengths 5.402, 11.711, 8.005 Å; angles 90.00, 112.75, 90.00 degrees
Element x y z (fractional)
Mg1 0.050 0.079 0.177
Mg2 0.050 0.421 0.677
Mg3 0.950 0.579 0.323
Mg4 0.950 0.921 0.823
V1 0.313 0.648 0.029
V2 0.313 0.852 0.529
V3 0.687 0.148 0.471
V4 0.687 0.352 0.971
Bi1 0.441 0.095 0.824
Bi2 0.441 0.405 0.324
Bi3 0.559 0.595 0.676
Bi4 0.559 0.905 0.176
O1 0.175 0.714 0.484
O2 0.175 0.786 0.984
O3 0.203 0.568 0.174
O4 0.203 0.932 0.674
O5 0.252 0.572 0.828
O6 0.252 0.928 0.328
O7 0.259 0.027 0.014
O8 0.259 0.473 0.514
O9 0.349 0.175 0.363
O10 0.349 0.325 0.863
O11 0.651 0.675 0.137
O12 0.651 0.825 0.637
O13 0.741 0.527 0.486
O14 0.741 0.973 0.986
O15 0.748 0.072 0.672
O16 0.748 0.428 0.172
O17 0.797 0.068 0.326
O18 0.797 0.432 0.826
O19 0.825 0.214 0.016
O20 0.825 0.286 0.516

## Properties
SG: P2_1/c

b | Here is MgVBiO5 after structural relaxation from the Materials Project. Energies are from PBE+U.

Cell lengths 5.279, 15.604, 10.711 Å; angles 90.00, 90.00, 90.00 degrees
Element x y z (fractional)
Mg1 0.006 0.046 0.137
Mg2 0.006 0.454 0.637
Mg3 0.494 0.546 0.137
Mg4 0.494 0.954 0.637
Mg5 0.506 0.046 0.363
Mg6 0.506 0.454 0.863
Mg7 0.994 0.546 0.363
Mg8 0.994 0.954 0.863
V1 0.015 0.592 0.899
V2 0.015 0.908 0.399
V3 0.485 0.092 0.899
V4 0.485 0.408 0.399
V5 0.515 0.592 0.601
V6 0.515 0.908 0.101
V7 0.985 0.092 0.601
V8 0.985 0.408 0.101
Bi1 0.022 0.226 0.354
Bi2 0.022 0.274 0.854
Bi3 0.478 0.726 0.354
Bi4 0.478 0.774 0.854
Bi5 0.522 0.226 0.146
Bi6 0.522 0.274 0.646
Bi7 0.978 0.726 0.146
Bi8 0.978 0.774 0.646
O1 0.073 0.693 0.828
O2 0.073 0.807 0.328
O3 0.138 0.020 0.698
O4 0.138 0.480 0.198
O5 0.188 0.118 0.475
O6 0.188 0.382 0.975
O7 0.197 0.056 0.958
O8 0.197 0.444 0.458
O9 0.205 0.149 0.216
O10 0.205 0.351 0.716
O11 0.295 0.649 0.216
O12 0.295 0.851 0.716
O13 0.303 0.556 0.958
O14 0.303 0.944 0.458
O15 0.312 0.618 0.475
O16 0.312 0.882 0.975
O17 0.362 0.520 0.698
O18 0.362 0.980 0.198
O19 0.427 0.193 0.828
O20 0.427 0.307 0.328
O21 0.573 0.693 0.672
O22 0.573 0.807 0.172
O23 0.638 0.020 0.802
O24 0.638 0.480 0.302
O25 0.688 0.118 0.025
O26 0.688 0.382 0.525
O27 0.697 0.056 0.542
O28 0.697 0.444 0.042
O29 0.705 0.149 0.284
O30 0.705 0.351 0.784
O31 0.795 0.649 0.284
O32 0.795 0.851 0.784
O33 0.803 0.556 0.542
O34 0.803 0.944 0.042
O35 0.812 0.618 0.025
O36 0.812 0.882 0.525
O37 0.862 0.520 0.802
O38 0.862 0.980 0.302
O39 0.927 0.193 0.672
O40 0.927 0.307 0.172

## Properties
SG: Pbca

Of them, a has the highest stability.

a | Here is MgV2Bi4O11 after structural relaxation from the Materials Project. Energies are from PBE+U.

Cell lengths 6.265, 6.597, 8.396 Å; angles 67.27, 83.25, 71.65 degrees
Element x y z (fractional)
Mg1 0.000 0.000 0.000
V1 0.470 0.237 0.378
V2 0.976 0.746 0.353
Bi1 0.003 0.491 0.028
Bi2 0.486 0.654 0.729
Bi3 0.499 0.002 0.009
Bi4 0.986 0.246 0.618
O1 0.092 0.969 0.238
O2 0.143 0.258 0.862
O3 0.165 0.757 0.895
O4 0.195 0.460 0.396
O5 0.365 0.019 0.568
O6 0.461 0.219 0.174
O7 0.683 0.703 0.892
O8 0.716 0.262 0.434
O9 0.718 0.194 0.857
O10 0.816 0.639 0.550
O11 0.832 0.768 0.161

## Properties
SG: P1

b | Here is MgV2Bi4O11 after structural relaxation from the Materials Project. Energies are from PBE+U.

Cell lengths 5.811, 6.189, 8.173 Å; angles 98.57, 104.15, 93.63 degrees
Element x y z (fractional)
Mg1 0.000 0.000 0.000
V1 0.262 0.665 0.794
V2 0.722 0.263 0.776
Bi1 0.001 0.559 0.210
Bi2 0.101 0.102 0.512
Bi3 0.524 0.146 0.264
Bi4 0.645 0.658 0.532
O1 0.150 0.002 0.256
O2 0.261 0.773 0.602
O3 0.299 0.882 0.962
O4 0.367 0.486 0.281
O5 0.509 0.519 0.826
O6 0.519 0.221 0.539
O7 0.765 0.871 0.370
O8 0.834 0.264 0.027
O9 0.844 0.985 0.749
O10 0.880 0.402 0.399
O11 0.995 0.497 0.774

## Properties
SG: P1

Of them, b has the highest stability.

a | Here is MgBiWO5 after structural relaxation from the Materials Project. Energies are from PBE+U.

Cell lengths 5.135, 18.306, 10.192 Å; angles 90.00, 90.00, 90.00 degrees
Element x y z (fractional)
Mg1 0.019 0.057 0.139
Mg2 0.019 0.443 0.639
Mg3 0.481 0.557 0.139
Mg4 0.481 0.943 0.639
Mg5 0.519 0.057 0.361
Mg6 0.519 0.443 0.861
Mg7 0.981 0.557 0.361
Mg8 0.981 0.943 0.861
Bi1 0.048 0.710 0.153
Bi2 0.048 0.790 0.653
Bi3 0.452 0.210 0.153
Bi4 0.452 0.290 0.653
Bi5 0.548 0.710 0.347
Bi6 0.548 0.790 0.847
Bi7 0.952 0.210 0.347
Bi8 0.952 0.290 0.847
W1 0.005 0.077 0.619
W2 0.005 0.423 0.119
W3 0.495 0.577 0.619
W4 0.495 0.923 0.119
W5 0.505 0.077 0.881
W6 0.505 0.423 0.381
W7 0.995 0.577 0.881
W8 0.995 0.923 0.381
O1 0.135 0.160 0.681
O2 0.135 0.340 0.181
O3 0.213 0.615 0.010
O4 0.213 0.885 0.510
O5 0.232 0.523 0.772
O6 0.232 0.977 0.272
O7 0.241 0.533 0.518
O8 0.241 0.967 0.018
O9 0.249 0.128 0.281
O10 0.249 0.372 0.781
O11 0.251 0.628 0.281
O12 0.251 0.872 0.781
O13 0.259 0.033 0.518
O14 0.259 0.467 0.018
O15 0.268 0.023 0.772
O16 0.268 0.477 0.272
O17 0.287 0.115 0.010
O18 0.287 0.385 0.510
O19 0.365 0.660 0.681
O20 0.365 0.840 0.181
O21 0.635 0.160 0.819
O22 0.635 0.340 0.319
O23 0.713 0.615 0.490
O24 0.713 0.885 0.990
O25 0.732 0.523 0.728
O26 0.732 0.977 0.228
O27 0.741 0.533 0.982
O28 0.741 0.967 0.482
O29 0.749 0.128 0.219
O30 0.749 0.372 0.719
O31 0.751 0.628 0.219
O32 0.751 0.872 0.719
O33 0.759 0.033 0.982
O34 0.759 0.467 0.482
O35 0.768 0.023 0.728
O36 0.768 0.477 0.228
O37 0.787 0.115 0.490
O38 0.787 0.385 0.990
O39 0.865 0.660 0.819
O40 0.865 0.840 0.319

## Properties
SG: Pbca

b | Here is MgBiWO5 after structural relaxation from the Materials Project. Energies are from PBE+U.

Cell lengths 5.433, 11.887, 8.469 Å; angles 90.00, 113.70, 90.00 degrees
Element x y z (fractional)
Mg1 0.065 0.080 0.173
Mg2 0.065 0.420 0.673
Mg3 0.935 0.580 0.327
Mg4 0.935 0.920 0.827
Bi1 0.445 0.103 0.846
Bi2 0.445 0.397 0.346
Bi3 0.555 0.603 0.654
Bi4 0.555 0.897 0.154
W1 0.289 0.638 0.024
W2 0.289 0.862 0.524
W3 0.711 0.138 0.476
W4 0.711 0.362 0.976
O1 0.153 0.572 0.168
O2 0.153 0.928 0.668
O3 0.196 0.704 0.478
O4 0.196 0.796 0.978
O5 0.258 0.029 0.013
O6 0.258 0.471 0.513
O7 0.277 0.566 0.824
O8 0.277 0.934 0.324
O9 0.356 0.187 0.338
O10 0.356 0.313 0.838
O11 0.644 0.687 0.162
O12 0.644 0.813 0.662
O13 0.723 0.066 0.676
O14 0.723 0.434 0.176
O15 0.742 0.529 0.487
O16 0.742 0.971 0.987
O17 0.804 0.204 0.022
O18 0.804 0.296 0.522
O19 0.847 0.072 0.332
O20 0.847 0.428 0.832

## Properties
SG: P2_1/c

Of them, b has the highest stability.

a | Here is MgBi4W2O12 after structural relaxation from the Materials Project. Energies are from PBE+U.

Cell lengths 5.470, 5.854, 8.910 Å; angles 79.16, 87.36, 89.93 degrees
Element x y z (fractional)
Mg1 0.000 0.000 0.000
Bi1 0.029 0.889 0.480
Bi2 0.050 0.503 0.203
Bi3 0.505 0.402 0.498
Bi4 0.508 0.055 0.189
W1 0.484 0.902 0.791
W2 0.981 0.423 0.781
O1 0.076 0.329 0.003
O2 0.215 0.183 0.742
O3 0.227 0.688 0.710
O4 0.241 0.221 0.354
O5 0.314 0.839 0.989
O6 0.339 0.751 0.351
O7 0.594 0.007 0.584
O8 0.704 0.336 0.289
O9 0.734 0.124 0.861
O10 0.735 0.642 0.831
O11 0.865 0.884 0.220
O12 0.898 0.501 0.555

## Properties
SG: P1

b | Here is MgBi4W2O12 after structural relaxation from the Materials Project. Energies are from PBE+U.

Cell lengths 3.984, 8.463, 8.761 Å; angles 97.34, 92.65, 99.77 degrees
Element x y z (fractional)
Mg1 0.000 0.000 0.000
Bi1 0.101 0.338 0.592
Bi2 0.353 0.332 0.029
Bi3 0.451 0.987 0.713
Bi4 0.523 0.012 0.299
W1 0.906 0.640 0.911
W2 0.962 0.673 0.300
O1 0.068 0.901 0.416
O2 0.102 0.163 0.769
O3 0.155 0.169 0.197
O4 0.396 0.619 0.912
O5 0.470 0.702 0.288
O6 0.539 0.067 0.965
O7 0.614 0.178 0.516
O8 0.788 0.447 0.762
O9 0.891 0.489 0.098
O10 0.914 0.531 0.439
O11 0.963 0.832 0.802
O12 0.987 0.802 0.103

## Properties
SG: P1

Of them, a has the highest stability.